Computed, not measured: a geometry-optimized TlFe3Te3 structure at the PBE level of DFT.

Output
* DFT formation energy: -0.311 eV/atom
* total DFT energy (no corrections): -5.445 eV per atom

Unit cell a=9.4529 b=9.4529 c=4.2518 alpha=90.00 beta=90.00 gamma=120.00
Space group P6_3/m (No. 176)
Asymmetric unit:
1 Tl 0.3333 0.6667 0.2500 x2
2 Fe 0.0205 0.1619 0.2500 x6
3 Te 0.0444 0.3464 0.7500 x6